MgTl4Ni4O12: optimized geometry, GGA+U.

Computed properties:
Final energy   -4.677 eV per atom
Calculated formation energy   -106.1 kJ/mol of atoms
Magnetization   6.0 μB/f.u.
ΔE to the lowest computed polymorph   0 meV per atom

a b c (Å): 5.3502 5.5959 8.6924
angles (deg): 82.65 87.46 87.72
Closest atoms and distances in Å follow each position.
Fractional positions:
Mg (0.0000, 0.0000, 0.0000)  5 O 1.99-2.08
Tl (0.0070, 0.8553, 0.3678)  3 O 2.16-2.24
Tl (0.0196, 0.6576, 0.7932)  6 O 2.19-2.44
Tl (0.5131, 0.1963, 0.8126)  5 O 2.18-2.44
Tl (0.5489, 0.3413, 0.3590)  3 O 2.15-2.25
Ni (0.0328, 0.2662, 0.5927)  6 O 2.03-2.20
Ni (0.0576, 0.3853, 0.1473)  5 O 1.90-2.08
Ni (0.5187, 0.7794, 0.5793)  5 O 1.95-2.07
Ni (0.5211, 0.8443, 0.1281)  6 O 2.06-2.28
O (0.1580, 0.2642, 0.3690)  2 Ni 2.03-2.05, 1 Tl 2.15
O (0.2023, 0.6760, 0.0435)  1 Ni 1.93, 1 Mg 2.08
O (0.2460, 0.9635, 0.6714)  2 Ni 1.95-2.06
O (0.3097, 0.1585, 0.0531)  1 Mg 2.01, 2 Ni 2.03-2.10
O (0.3416, 0.4817, 0.6525)  2 Ni 1.97-2.20, 1 Tl 2.18
O (0.4041, 0.7655, 0.3570)  2 Ni 2.06-2.07, 1 Tl 2.16
O (0.6985, 0.8513, 0.9122)  1 Ni 2.06, 1 Mg 2.06, 2 Tl 2.23-2.28
O (0.7197, 0.0717, 0.5420)  2 Ni 1.98-2.13
O (0.7899, 0.5884, 0.2108)  2 Ni 1.90-2.07
O (0.8139, 0.1020, 0.1852)  1 Mg 1.99, 1 Ni 2.08
O (0.8313, 0.5952, 0.5543)  2 Ni 1.95-2.09
O (0.9220, 0.2779, 0.8239)  1 Ni 2.08, 1 Mg 2.08, 2 Tl 2.19-2.26